A plane-wave DFT calculation with PBE was carried out for crystalline KInP2O7 at its relaxed geometry. Values from VASP.

```
&SYSTEM
  ibrav = 0, nat = 44, ntyp = 4
/
ATOMIC_SPECIES
In 114.82 In.upf
O 16.00 O.upf
K 39.10 K.upf
P 30.97 P.upf
ATOMIC_POSITIONS crystal
In 0.400 0.764 0.257
In 0.100 0.764 0.757
In 0.900 0.236 0.243
In 0.600 0.236 0.743
O 0.779 0.462 0.262
O 0.270 0.932 0.743
O 0.596 0.131 0.002
O 0.096 0.869 0.498
O 0.394 0.677 0.522
O 0.721 0.462 0.762
O 0.230 0.932 0.243
O 0.072 0.662 0.316
O 0.419 0.363 0.740
O 0.904 0.131 0.502
O 0.428 0.662 0.816
O 0.404 0.869 0.998
O 0.221 0.538 0.738
O 0.928 0.338 0.684
O 0.606 0.323 0.478
O 0.996 0.992 0.217
O 0.894 0.323 0.978
O 0.919 0.637 0.760
O 0.106 0.677 0.022
O 0.770 0.068 0.757
O 0.279 0.538 0.238
O 0.504 0.992 0.717
O 0.496 0.008 0.283
O 0.572 0.338 0.184
O 0.004 0.008 0.783
O 0.081 0.363 0.240
O 0.730 0.068 0.257
O 0.581 0.637 0.260
K 0.679 0.827 0.564
K 0.321 0.173 0.436
K 0.821 0.827 0.064
K 0.179 0.173 0.936
P 0.862 0.442 0.806
P 0.638 0.442 0.306
P 0.100 0.872 0.322
P 0.362 0.558 0.694
P 0.138 0.558 0.194
P 0.400 0.872 0.822
P 0.600 0.128 0.178
P 0.900 0.128 0.678
CELL_PARAMETERS angstrom
10.610 0.000 0.000
0.000 7.556 0.000
0.000 2.511 8.208
```

Results
Total DFT energy (no corrections) = -6.661 eV per atom
Formation energy = -2.61 eV/atom
Symmetry = P2_1/c
Calculated volume = 658 Å³/cell